Entry 1:
First-principles (GGA-PBE) data for a geometry-optimized IrI structure, as listed in Materials Project.

a = 4.020 Å, b = 4.020 Å, c = 7.537 Å
α = 90.00°, β = 90.00°, γ = 120.00°
Element x y z (fractional)
Ir (0.667, 0.333, 0.860)
Ir (0.333, 0.667, 0.360)
I (0.667, 0.333, 0.515)
I (0.333, 0.667, 0.015)



Entry 2:
First-principles (GGA-PBE) data for a geometry-optimized Pr3IrI3 structure, as listed in Materials Project.

a = 10.927 Å, b = 10.927 Å, c = 10.927 Å
α = 109.47°, β = 109.47°, γ = 109.47°
Element x y z (fractional)
Pr (0.457, 0.478, 0.228)
Pr (0.750, 0.228, 0.272)
Pr (0.750, 0.022, 0.478)
Pr (0.228, 0.457, 0.478)
Pr (0.272, 0.750, 0.228)
Pr (0.043, 0.272, 0.022)
Pr (0.022, 0.043, 0.272)
Pr (0.478, 0.750, 0.022)
Pr (0.478, 0.228, 0.457)
Pr (0.022, 0.478, 0.750)
Pr (0.272, 0.022, 0.043)
Pr (0.228, 0.272, 0.750)
Ir (0.250, 0.250, 0.250)
Ir (0.500, 0.000, 0.250)
Ir (0.000, 0.250, 0.500)
Ir (0.250, 0.500, 0.000)
I (0.250, 0.759, 0.741)
I (0.518, 0.509, 0.759)
I (0.982, 0.741, 0.991)
I (0.741, 0.250, 0.759)
I (0.991, 0.982, 0.741)
I (0.250, 0.991, 0.509)
I (0.759, 0.518, 0.509)
I (0.509, 0.250, 0.991)
I (0.759, 0.741, 0.250)
I (0.741, 0.991, 0.982)
I (0.991, 0.509, 0.250)
I (0.509, 0.759, 0.518)



Entry 3:
First-principles (GGA-PBE) data for a geometry-optimized Te8IrI5 structure, as listed in Materials Project.

a = 10.032 Å, b = 10.602 Å, c = 11.776 Å
α = 102.52°, β = 112.32°, γ = 92.55°
Element x y z (fractional)
Te (0.420, 0.692, 0.015)
Te (0.580, 0.308, 0.985)
Te (0.546, 0.860, 0.266)
Te (0.454, 0.140, 0.734)
Te (0.707, 0.730, 0.005)
Te (0.293, 0.270, 0.995)
Te (0.799, 0.940, 0.227)
Te (0.201, 0.060, 0.773)
Te (0.432, 0.062, 0.118)
Te (0.568, 0.938, 0.882)
Te (0.204, 0.696, 0.670)
Te (0.796, 0.304, 0.330)
Te (0.053, 0.826, 0.918)
Te (0.947, 0.174, 0.082)
Te (0.097, 0.969, 0.170)
Te (0.903, 0.031, 0.830)
Ir (0.309, 0.876, 0.894)
Ir (0.691, 0.124, 0.106)
I (0.293, 0.874, 0.518)
I (0.707, 0.126, 0.482)
I (0.470, 0.568, 0.705)
I (0.530, 0.432, 0.295)
I (0.083, 0.486, 0.739)
I (0.917, 0.514, 0.261)
I (0.903, 0.783, 0.584)
I (0.097, 0.217, 0.416)
I (0.197, 0.650, 0.134)
I (0.803, 0.350, 0.866)



Entry 4:
First-principles (GGA-PBE) data for a geometry-optimized Y3IrI3 structure, as listed in Materials Project.

a = 4.283 Å, b = 8.912 Å, c = 12.350 Å
α = 86.42°, β = 90.00°, γ = 90.00°
Element x y z (fractional)
Y (0.750, 0.141, 0.130)
Y (0.250, 0.859, 0.870)
Y (0.750, 0.097, 0.684)
Y (0.250, 0.903, 0.316)
Y (0.250, 0.250, 0.901)
Y (0.750, 0.750, 0.099)
Ir (0.750, 0.049, 0.907)
Ir (0.250, 0.951, 0.093)
I (0.250, 0.427, 0.133)
I (0.750, 0.573, 0.867)
I (0.250, 0.349, 0.639)
I (0.750, 0.651, 0.361)
I (0.750, 0.141, 0.394)
I (0.250, 0.859, 0.606)



Entry 5:
First-principles (GGA-PBE) data for a geometry-optimized Y6IrI10 structure, as listed in Materials Project.

a = 7.757 Å, b = 9.711 Å, c = 9.817 Å
α = 107.27°, β = 96.92°, γ = 104.53°
Element x y z (fractional)
Y (0.115, 0.042, 0.758)
Y (0.885, 0.958, 0.242)
Y (0.970, 0.279, 0.083)
Y (0.030, 0.721, 0.917)
Y (0.351, 0.126, 0.167)
Y (0.649, 0.874, 0.833)
Ir (0.000, 0.000, 0.000)
I (0.351, 0.452, 0.272)
I (0.649, 0.548, 0.728)
I (0.259, 0.088, 0.463)
I (0.741, 0.912, 0.537)
I (0.086, 0.372, 0.821)
I (0.914, 0.628, 0.179)
I (0.453, 0.815, 0.091)
I (0.547, 0.185, 0.909)
I (0.781, 0.258, 0.345)
I (0.219, 0.742, 0.655)



Entry 6:
First-principles (GGA-PBE) data for a geometry-optimized K2La6OsI12 structure, as listed in Materials Project.

a = 19.649 Å, b = 10.062 Å, c = 10.091 Å
α = 71.76°, β = 90.00°, γ = 90.00°
Element x y z (fractional)
K (0.308, 0.912, 0.427)
K (0.808, 0.588, 0.573)
K (0.692, 0.088, 0.573)
K (0.192, 0.412, 0.427)
La (0.456, 0.763, 0.007)
La (0.645, 0.598, 0.977)
La (0.544, 0.237, 0.993)
La (0.987, 0.907, 0.293)
La (0.513, 0.407, 0.293)
La (0.855, 0.098, 0.977)
La (0.044, 0.263, 0.007)
La (0.145, 0.902, 0.023)
La (0.956, 0.737, 0.993)
La (0.013, 0.093, 0.707)
La (0.487, 0.593, 0.707)
La (0.355, 0.402, 0.023)
Os (0.500, 0.500, 0.000)
Os (0.000, 0.000, 0.000)
I (0.066, 0.406, 0.677)
I (0.206, 0.187, 0.081)
I (0.178, 0.020, 0.692)
I (0.706, 0.313, 0.919)
I (0.434, 0.906, 0.677)
I (0.531, 0.300, 0.652)
I (0.469, 0.700, 0.348)
I (0.104, 0.584, 0.025)
I (0.566, 0.094, 0.323)
I (0.855, 0.220, 0.636)
I (0.355, 0.280, 0.364)
I (0.678, 0.480, 0.308)
I (0.604, 0.916, 0.975)
I (0.031, 0.200, 0.348)
I (0.794, 0.813, 0.919)
I (0.294, 0.687, 0.081)
I (0.896, 0.416, 0.975)
I (0.396, 0.084, 0.025)
I (0.934, 0.594, 0.323)
I (0.645, 0.720, 0.636)
I (0.145, 0.780, 0.364)
I (0.822, 0.980, 0.308)
I (0.969, 0.800, 0.652)
I (0.322, 0.520, 0.692)



Entry 7:
First-principles (GGA-PBE) data for a geometry-optimized K4La6OsI14 structure, as listed in Materials Project.

- relative energy among the computed polymorphs (meV per atom) = 0

a = 10.131 Å, b = 10.131 Å, c = 22.420 Å
α = 90.00°, β = 90.00°, γ = 90.00°
Element x y z (fractional)
K (0.668, 0.168, 0.250)
K (0.332, 0.832, 0.750)
K (0.332, 0.832, 0.250)
K (0.832, 0.668, 0.750)
K (0.168, 0.332, 0.750)
K (0.168, 0.332, 0.250)
K (0.832, 0.668, 0.250)
K (0.668, 0.168, 0.750)
La (0.500, 0.500, 0.129)
La (0.409, 0.232, 0.000)
La (0.000, 0.000, 0.629)
La (0.091, 0.732, 0.500)
La (0.909, 0.268, 0.500)
La (0.732, 0.909, 0.500)
La (0.232, 0.591, 0.000)
La (0.268, 0.091, 0.500)
La (0.591, 0.768, 0.000)
La (0.500, 0.500, 0.871)
La (0.768, 0.409, 0.000)
La (0.000, 0.000, 0.371)
Os (0.000, 0.000, 0.500)
Os (0.500, 0.500, 0.000)
I (0.500, 0.500, 0.277)
I (0.693, 0.897, 0.354)
I (0.603, 0.807, 0.146)
I (0.397, 0.193, 0.146)
I (0.307, 0.103, 0.646)
I (0.800, 0.593, 0.500)
I (0.193, 0.603, 0.854)
I (0.397, 0.193, 0.854)
I (0.000, 0.000, 0.223)
I (0.103, 0.693, 0.354)
I (0.093, 0.300, 0.000)
I (0.907, 0.700, 0.000)
I (0.897, 0.307, 0.354)
I (0.693, 0.897, 0.646)
I (0.807, 0.397, 0.854)
I (0.300, 0.907, 0.000)
I (0.593, 0.200, 0.500)
I (0.700, 0.093, 0.000)
I (0.200, 0.407, 0.500)
I (0.193, 0.603, 0.146)
I (0.000, 0.000, 0.777)
I (0.897, 0.307, 0.646)
I (0.307, 0.103, 0.354)
I (0.103, 0.693, 0.646)
I (0.407, 0.800, 0.500)
I (0.807, 0.397, 0.146)
I (0.603, 0.807, 0.854)
I (0.500, 0.500, 0.723)



Entry 8:
First-principles (GGA-PBE) data for a geometry-optimized K4La6OsI14 structure, as listed in Materials Project.

- relative energy among the computed polymorphs (meV per atom) = 5

a = 13.374 Å, b = 13.374 Å, c = 25.344 Å
α = 90.00°, β = 90.00°, γ = 90.00°
Element x y z (fractional)
K (0.207, 0.939, 0.425)
K (0.207, 0.061, 0.925)
K (0.293, 0.561, 0.575)
K (0.061, 0.207, 0.575)
K (0.061, 0.793, 0.075)
K (0.561, 0.707, 0.425)
K (0.439, 0.293, 0.425)
K (0.793, 0.939, 0.925)
K (0.939, 0.207, 0.075)
K (0.707, 0.561, 0.075)
K (0.439, 0.707, 0.925)
K (0.293, 0.439, 0.075)
K (0.793, 0.061, 0.425)
K (0.939, 0.793, 0.575)
K (0.561, 0.293, 0.925)
K (0.707, 0.439, 0.575)
La (0.000, 0.500, 0.431)
La (0.374, 0.828, 0.183)
La (0.828, 0.374, 0.317)
La (0.328, 0.874, 0.683)
La (0.500, 0.000, 0.069)
La (0.374, 0.172, 0.683)
La (0.172, 0.626, 0.317)
La (0.874, 0.328, 0.817)
La (0.126, 0.328, 0.317)
La (0.328, 0.126, 0.183)
La (0.626, 0.172, 0.183)
La (0.672, 0.874, 0.183)
La (0.000, 0.500, 0.931)
La (0.000, 0.500, 0.203)
La (0.672, 0.126, 0.683)
La (0.828, 0.626, 0.817)
La (0.000, 0.500, 0.703)
La (0.126, 0.672, 0.817)
La (0.500, 0.000, 0.797)
La (0.172, 0.374, 0.817)
La (0.626, 0.828, 0.683)
La (0.500, 0.000, 0.569)
La (0.500, 0.000, 0.297)
La (0.874, 0.672, 0.317)
Os (0.000, 0.500, 0.816)
Os (0.000, 0.500, 0.316)
Os (0.500, 0.000, 0.684)
Os (0.500, 0.000, 0.184)
I (0.692, 0.850, 0.055)
I (0.500, 0.000, 0.433)
I (0.122, 0.288, 0.186)
I (0.150, 0.692, 0.945)
I (0.878, 0.288, 0.686)
I (0.308, 0.150, 0.055)
I (0.163, 0.949, 0.178)
I (0.850, 0.308, 0.945)
I (0.551, 0.337, 0.678)
I (0.712, 0.878, 0.314)
I (0.878, 0.712, 0.186)
I (0.000, 0.500, 0.067)
I (0.449, 0.663, 0.678)
I (0.788, 0.378, 0.186)
I (0.650, 0.192, 0.055)
I (0.378, 0.212, 0.814)
I (0.622, 0.212, 0.314)
I (0.288, 0.122, 0.314)
I (0.808, 0.350, 0.445)
I (0.837, 0.051, 0.178)
I (0.449, 0.337, 0.178)
I (0.712, 0.122, 0.814)
I (0.622, 0.788, 0.814)
I (0.808, 0.650, 0.945)
I (0.000, 0.000, 0.500)
I (0.788, 0.622, 0.686)
I (0.949, 0.163, 0.322)
I (0.051, 0.163, 0.822)
I (0.000, 0.500, 0.567)
I (0.350, 0.808, 0.055)
I (0.837, 0.949, 0.678)
I (0.350, 0.192, 0.555)
I (0.051, 0.837, 0.322)
I (0.551, 0.663, 0.178)
I (0.337, 0.551, 0.822)
I (0.850, 0.692, 0.445)
I (0.650, 0.808, 0.555)
I (0.000, 0.000, 0.000)
I (0.122, 0.712, 0.686)
I (0.150, 0.308, 0.445)
I (0.192, 0.350, 0.945)
I (0.949, 0.837, 0.822)
I (0.500, 0.500, 0.000)
I (0.163, 0.051, 0.678)
I (0.212, 0.622, 0.186)
I (0.663, 0.551, 0.322)
I (0.288, 0.878, 0.814)
I (0.308, 0.850, 0.555)
I (0.378, 0.788, 0.314)
I (0.337, 0.449, 0.322)
I (0.663, 0.449, 0.822)
I (0.500, 0.500, 0.500)
I (0.692, 0.150, 0.555)
I (0.212, 0.378, 0.686)
I (0.192, 0.650, 0.445)
I (0.500, 0.000, 0.933)



Entry 9:
First-principles (GGA-PBE) data for a geometry-optimized K9Li3I2O13 structure, as listed in Materials Project.

- piezoelectric modulus e_max (C/m2) = 0.02

a = 9.529 Å, b = 9.529 Å, c = 11.753 Å
α = 90.00°, β = 90.00°, γ = 120.00°
Element x y z (fractional)
K (0.550, 0.898, 0.250)
K (0.450, 0.348, 0.750)
K (0.652, 0.102, 0.750)
K (0.780, 0.000, 0.000)
K (0.898, 0.550, 0.750)
K (0.000, 0.780, 0.000)
K (0.375, 0.107, 0.250)
K (0.348, 0.450, 0.250)
K (0.780, 0.000, 0.500)
K (0.733, 0.625, 0.250)
K (0.893, 0.267, 0.250)
K (0.102, 0.652, 0.250)
K (0.625, 0.733, 0.750)
K (0.000, 0.780, 0.500)
K (0.267, 0.893, 0.750)
K (0.107, 0.375, 0.750)
K (0.220, 0.220, 0.500)
K (0.220, 0.220, 0.000)
Li (0.540, 0.540, 0.000)
Li (0.460, 0.000, 0.000)
Li (0.540, 0.540, 0.500)
Li (0.000, 0.460, 0.500)
Li (0.460, 0.000, 0.500)
Li (0.000, 0.460, 0.000)
I (0.333, 0.667, 0.990)
I (0.667, 0.333, 0.010)
I (0.667, 0.333, 0.490)
I (0.333, 0.667, 0.510)
O (0.302, 0.816, 0.084)
O (0.486, 0.184, 0.916)
O (0.184, 0.486, 0.416)
O (0.152, 0.632, 0.601)
O (0.480, 0.848, 0.899)
O (0.520, 0.368, 0.101)
O (0.816, 0.302, 0.584)
O (0.368, 0.520, 0.601)
O (0.698, 0.514, 0.916)
O (0.302, 0.816, 0.416)
O (0.184, 0.486, 0.084)
O (0.520, 0.368, 0.399)
O (0.848, 0.480, 0.101)
O (0.486, 0.184, 0.584)
O (0.152, 0.632, 0.899)
O (0.632, 0.152, 0.101)
O (0.368, 0.520, 0.899)
O (0.514, 0.698, 0.416)
O (0.000, 0.000, 0.250)
O (0.480, 0.848, 0.601)
O (0.698, 0.514, 0.584)
O (0.816, 0.302, 0.916)
O (0.514, 0.698, 0.084)
O (0.632, 0.152, 0.399)
O (0.000, 0.000, 0.750)
O (0.848, 0.480, 0.399)



These records have energy of formation from the pure elements values of 748.2 -1324.5 -300.2 -1319.9 -1511.8 -1580.7 -1601.7 -1596.4 -1602.6 meV per atom, in the order they appear.